Computed, not measured: Na4ZnSi3Ge3S3O24 after structural relaxation at the PBE level of DFT.

Cell: 8.721 8.696 22.031 Å, 89.49 91.54 119.91°
Positions (direct):
S (0.671, 0.633, 0.583)
O (0.136, 0.507, 0.854)
O (0.843, 0.532, 0.027)
S (0.963, 0.338, 0.584)
Zn (0.655, 0.321, 0.688)
O (0.035, 0.838, 0.692)
Ge (0.649, 0.319, 0.476)
O (0.691, 0.552, 0.526)
O (0.041, 0.213, 0.195)
Si (0.279, 0.993, 0.252)
O (0.139, 0.641, 0.077)
O (0.800, 0.823, 0.913)
O (0.680, 0.509, 0.241)
O (0.790, 0.843, 0.195)
Si (0.624, 0.962, 0.419)
S (0.958, 0.623, 0.081)
O (0.028, 0.195, 0.914)
O (0.834, 0.816, 0.586)
O (0.292, 0.487, 0.759)
Na (0.647, 0.313, 0.328)
O (0.699, 0.167, 0.749)
O (0.507, 0.652, 0.579)
Na (0.374, 0.355, 0.251)
O (0.511, 0.694, 0.254)
O (0.468, 0.100, 0.638)
O (0.297, 0.836, 0.975)
O (0.367, 0.871, 0.854)
Si (0.327, 0.954, 0.915)
O (0.864, 0.491, 0.426)
O (0.148, 0.952, 0.189)
Na (0.992, 0.366, 0.755)
Si (0.669, 0.027, 0.084)
O (0.144, 0.497, 0.578)
S (0.371, 0.334, 0.079)
Ge (0.977, 0.974, 0.149)
O (0.181, 0.483, 0.976)
Si (0.711, 0.987, 0.755)
S (0.001, 0.721, 0.749)
O (0.978, 0.800, 0.803)
O (0.977, 0.169, 0.585)
Si (0.051, 0.395, 0.918)
O (0.855, 0.014, 0.089)
O (0.207, 0.051, 0.307)
S (0.362, 0.027, 0.582)
Si (0.709, 0.704, 0.253)
O (0.350, 0.495, 0.073)
O (0.860, 0.330, 0.240)
O (0.152, 0.208, 0.691)
O (0.525, 0.837, 0.478)
Na (0.710, 0.679, 0.406)
Ge (0.030, 0.046, 0.859)
Ge (0.332, 0.679, 0.016)
O (0.886, 0.532, 0.139)
O (0.853, 0.375, 0.923)
O (0.142, 0.964, 0.908)
Na (0.346, 0.679, 0.160)
O (0.849, 0.542, 0.740)
O (0.375, 0.517, 0.359)
O (0.210, 0.165, 0.809)
O (0.502, 0.157, 0.922)
Si (0.328, 0.380, 0.418)
O (0.467, 0.314, 0.028)
O (0.175, 0.470, 0.256)
O (0.979, 0.805, 0.082)
O (0.450, 0.145, 0.528)
S (0.045, 0.656, 0.421)
O (0.851, 0.025, 0.811)
O (0.541, 0.698, 0.971)
O (0.481, 0.314, 0.745)
Ge (0.346, 0.668, 0.818)
O (0.120, 0.628, 0.366)
Ge (0.345, 0.665, 0.514)
O (0.467, 0.365, 0.139)
Ge (0.674, 0.303, 0.977)
O (0.301, 0.465, 0.481)
Na (0.012, 0.025, 0.494)
O (0.024, 0.812, 0.421)
O (0.848, 0.315, 0.529)
S (0.626, 0.665, 0.919)
O (0.652, 0.526, 0.636)
Ge (0.982, 0.009, 0.655)
O (0.503, 0.886, 0.356)
Na (0.383, 0.012, 0.758)
Zn (0.004, 0.006, 0.356)
O (0.636, 0.156, 0.426)
Zn (0.643, 0.310, 0.179)
Na (0.355, 0.664, 0.669)
O (0.513, 0.627, 0.861)
O (0.481, 0.151, 0.245)
Na (0.658, 0.338, 0.835)
Ge (0.364, 0.689, 0.313)
O (0.888, 0.357, 0.640)
O (0.526, 0.386, 0.425)
Si (0.292, 0.299, 0.752)
O (0.169, 0.185, 0.416)
O (0.152, 0.678, 0.478)
O (0.511, 0.815, 0.761)
Na (0.637, 0.006, 0.240)
O (0.343, 0.845, 0.575)
S (0.007, 0.294, 0.249)
O (0.821, 0.778, 0.315)
O (0.281, 0.799, 0.259)
O (0.493, 0.828, 0.072)
O (0.167, 0.709, 0.749)
O (0.194, 0.171, 0.082)
O (0.965, 0.186, 0.304)
O (0.707, 0.159, 0.025)
O (0.185, 0.011, 0.585)
Na (0.004, 0.009, 0.001)
O (0.779, 0.944, 0.691)
O (0.810, 0.970, 0.418)
O (0.632, 0.096, 0.146)
Na (0.985, 0.631, 0.248)
O (0.638, 0.502, 0.926)

Output
Raw total energy in eV per cell: -705.19
Size of the total moment in μB per cell: 0.07
Crystal system: triclinic
SG: P1 (1)
Volume in Å³/cell: 1447.8


Computed, not measured: Na8ZnSi5Ge3SO24 after structural relaxation at the PBE level of DFT.

Cell: 8.928 8.916 21.694 Å, 91.47 90.18 120.21°
Positions (direct):
O (0.189, 0.162, 0.813)
Si (0.381, 0.341, 0.083)
O (0.019, 0.826, 0.415)
O (0.300, 0.478, 0.478)
O (0.117, 0.613, 0.357)
Na (0.961, 0.283, 0.414)
Ge (0.001, 0.980, 0.653)
O (0.639, 0.490, 0.922)
Na (0.716, 0.680, 0.418)
Si (0.662, 0.039, 0.082)
O (0.848, 0.307, 0.525)
Na (0.319, 0.033, 0.418)
Na (0.332, 0.666, 0.162)
O (0.815, 0.840, 0.913)
Na (0.334, 0.297, 0.915)
Zn (0.998, 0.008, 0.358)
O (0.180, 0.024, 0.588)
O (0.488, 0.378, 0.147)
Na (0.310, 0.971, 0.080)
Na (0.001, 0.998, 0.498)
Na (0.987, 0.369, 0.752)
O (0.491, 0.651, 0.575)
O (0.628, 0.148, 0.422)
Ge (0.010, 0.024, 0.137)
O (0.136, 0.492, 0.578)
Ge (0.315, 0.644, 0.324)
O (0.829, 0.544, 0.025)
Ge (0.999, 0.000, 0.854)
O (0.967, 0.803, 0.813)
O (0.153, 0.195, 0.689)
O (0.382, 0.504, 0.358)
Na (0.628, 0.615, 0.749)
O (0.379, 0.870, 0.857)
O (0.904, 0.523, 0.146)
O (0.533, 0.837, 0.476)
S (0.705, 0.711, 0.250)
O (0.679, 0.532, 0.247)
O (0.803, 0.975, 0.415)
Si (0.614, 0.955, 0.417)
Zn (0.680, 0.335, 0.171)
O (0.193, 0.494, 0.257)
O (0.851, 0.361, 0.923)
Na (0.677, 0.333, 0.332)
O (0.344, 0.839, 0.575)
O (0.206, 0.012, 0.307)
Si (0.335, 0.954, 0.917)
O (0.812, 0.790, 0.307)
O (0.463, 0.154, 0.249)
Zn (0.648, 0.329, 0.689)
O (0.696, 0.163, 0.749)
O (0.536, 0.704, 0.977)
Ge (0.654, 0.337, 0.478)
O (0.288, 0.475, 0.755)
Ge (0.334, 0.665, 0.813)
O (0.523, 0.813, 0.755)
O (0.184, 0.159, 0.085)
O (0.171, 0.465, 0.977)
O (0.971, 0.180, 0.312)
Ge (0.335, 0.669, 0.017)
Si (0.038, 0.657, 0.420)
O (0.885, 0.363, 0.637)
O (0.306, 0.836, 0.250)
Si (0.007, 0.712, 0.753)
O (0.461, 0.169, 0.522)
O (0.049, 0.831, 0.690)
O (0.711, 0.542, 0.522)
O (0.533, 0.702, 0.253)
O (0.838, 0.324, 0.247)
Na (0.386, 0.010, 0.748)
Si (0.002, 0.296, 0.253)
O (0.128, 0.506, 0.857)
Na (0.341, 0.673, 0.670)
Si (0.276, 0.283, 0.753)
O (0.848, 0.476, 0.425)
O (0.187, 0.704, 0.757)
Na (0.962, 0.666, 0.915)
Na (0.664, 0.970, 0.592)
Na (0.642, 0.015, 0.247)
Ge (0.668, 0.335, 0.980)
O (0.466, 0.306, 0.752)
O (0.836, 0.028, 0.814)
O (0.162, 0.977, 0.913)
O (0.981, 0.828, 0.093)
O (0.044, 0.206, 0.189)
O (0.168, 0.693, 0.478)
Si (0.045, 0.381, 0.916)
Na (0.001, 0.000, 0.995)
O (0.468, 0.295, 0.024)
O (0.493, 0.843, 0.074)
O (0.352, 0.507, 0.075)
Na (0.309, 0.335, 0.590)
O (0.789, 0.813, 0.194)
O (0.801, 0.956, 0.689)
O (0.512, 0.149, 0.923)
O (0.710, 0.174, 0.025)
Na (0.667, 0.333, 0.829)
O (0.480, 0.860, 0.355)
O (0.839, 0.019, 0.088)
Si (0.714, 0.994, 0.752)
O (0.618, 0.510, 0.643)
O (0.518, 0.373, 0.421)
Na (0.031, 0.701, 0.583)
Si (0.374, 0.040, 0.582)
O (0.174, 0.191, 0.418)
Na (0.664, 0.694, 0.079)
O (0.492, 0.621, 0.856)
Na (0.368, 0.364, 0.243)
O (0.614, 0.099, 0.146)
O (0.182, 0.971, 0.193)
Na (0.992, 0.622, 0.245)
Si (0.620, 0.665, 0.916)
Si (0.338, 0.383, 0.420)
O (0.844, 0.826, 0.588)
Si (0.966, 0.632, 0.084)
O (0.294, 0.831, 0.976)
Ge (0.347, 0.682, 0.517)
S (0.959, 0.335, 0.581)
O (0.499, 0.108, 0.642)
O (0.976, 0.178, 0.582)
O (0.159, 0.656, 0.074)
Si (0.665, 0.628, 0.584)
S (0.289, 0.995, 0.251)
O (0.026, 0.185, 0.913)
Na (0.702, 0.036, 0.914)
O (0.838, 0.522, 0.747)
Na (0.032, 0.345, 0.079)

Output
Raw total energy in eV per cell: -785.98
Size of the total moment in μB per cell: 0.00
Crystal system: triclinic
SG: P1 (1)
Volume in Å³/cell: 1491.5


Q: The highest raw total energy belongs to which entry?
A: Na4ZnSi3Ge3S3O24